1.
This record from Materials Project describes crystalline CsTiBr3 at its relaxed geometry. The functional is r²SCAN.

Calculated values
The calculation puts the calculated formation energy at -1666 meV/atom.

Lattice parameters (Å, degrees): 7.627 7.627 6.538 90.00 90.00 120.00
Element x y z (fractional)
1 Cs 0.333 0.667 0.750
2 Cs 0.667 0.333 0.250
3 Ti 0.000 0.000 0.000
4 Ti 0.000 0.000 0.500
5 Br 0.839 0.677 0.750
6 Br 0.839 0.161 0.750
7 Br 0.161 0.323 0.250
8 Br 0.323 0.161 0.750
9 Br 0.677 0.839 0.250
10 Br 0.161 0.839 0.250

2.
This record from Materials Project describes crystalline CsTlBr4 at its relaxed geometry. The functional is r²SCAN.

Calculated values
The calculation puts the calculated formation energy at -1137 meV/atom.

Lattice parameters (Å, degrees): 6.843 7.707 17.940 90.00 90.00 90.00
Element x y z (fractional)
1 Cs 0.088 0.534 0.368
2 Cs 0.912 0.034 0.132
3 Cs 0.412 0.466 0.868
4 Cs 0.588 0.966 0.632
5 Tl 0.582 0.964 0.369
6 Tl 0.918 0.036 0.869
7 Tl 0.418 0.464 0.131
8 Tl 0.082 0.536 0.631
9 Br 0.574 0.695 0.046
10 Br 0.926 0.305 0.546
11 Br 0.085 0.824 0.553
12 Br 0.415 0.176 0.053
13 Br 0.426 0.195 0.454
14 Br 0.080 0.100 0.741
15 Br 0.050 0.530 0.159
16 Br 0.585 0.676 0.447
17 Br 0.920 0.600 0.759
18 Br 0.074 0.805 0.954
19 Br 0.420 0.900 0.241
20 Br 0.915 0.324 0.947
21 Br 0.550 0.970 0.841
22 Br 0.580 0.400 0.259
23 Br 0.450 0.470 0.659
24 Br 0.950 0.030 0.341

3.
This record from Materials Project describes crystalline Cs2UBr6 at its relaxed geometry. The functional is r²SCAN.

Calculated values
The calculation puts the calculated formation energy at -1905 meV/atom.

Lattice parameters (Å, degrees): 7.914 7.914 7.944 59.87 59.87 60.25
Element x y z (fractional)
1 Cs 0.250 0.250 0.250
2 Cs 0.750 0.750 0.750
3 U 0.000 0.000 0.000
4 Br 0.752 0.248 0.248
5 Br 0.752 0.752 0.248
6 Br 0.248 0.248 0.752
7 Br 0.752 0.248 0.752
8 Br 0.248 0.752 0.248
9 Br 0.248 0.752 0.752

4.
This record from Materials Project describes crystalline Cs2WBr6 at its relaxed geometry. The functional is r²SCAN.

Calculated values
The calculation puts the calculated formation energy at -1306 meV/atom.

Lattice parameters (Å, degrees): 7.672 7.672 7.672 60.00 60.00 60.00
Element x y z (fractional)
1 Cs 0.750 0.750 0.750
2 Cs 0.250 0.250 0.250
3 W 0.000 0.000 0.000
4 Br 0.235 0.235 0.765
5 Br 0.235 0.765 0.765
6 Br 0.765 0.235 0.235
7 Br 0.235 0.765 0.235
8 Br 0.765 0.235 0.765
9 Br 0.765 0.765 0.235

5.
This record from Materials Project describes crystalline Cs3Y2Br9 at its relaxed geometry. The functional is r²SCAN.

Calculated values
The calculation puts the calculated formation energy at -2171 meV/atom.

Lattice parameters (Å, degrees): 10.270 10.270 10.270 83.77 83.77 83.77
Element x y z (fractional)
1 Cs 0.089 0.750 0.411
2 Cs 0.750 0.411 0.089
3 Cs 0.250 0.589 0.911
4 Cs 0.411 0.089 0.750
5 Cs 0.911 0.250 0.589
6 Cs 0.589 0.911 0.250
7 Y 0.349 0.349 0.349
8 Y 0.651 0.651 0.651
9 Y 0.849 0.849 0.849
10 Y 0.151 0.151 0.151
11 Br 0.266 0.915 0.080
12 Br 0.734 0.085 0.920
13 Br 0.907 0.593 0.750
14 Br 0.085 0.920 0.734
15 Br 0.593 0.750 0.907
16 Br 0.420 0.585 0.234
17 Br 0.250 0.093 0.407
18 Br 0.915 0.080 0.266
19 Br 0.580 0.415 0.766
20 Br 0.080 0.266 0.915
21 Br 0.920 0.734 0.085
22 Br 0.415 0.766 0.580
23 Br 0.234 0.420 0.585
24 Br 0.750 0.907 0.593
25 Br 0.093 0.407 0.250
26 Br 0.766 0.580 0.415
27 Br 0.407 0.250 0.093
28 Br 0.585 0.234 0.420

6.
This record from Materials Project describes crystalline Cs2ZnBr4 at its relaxed geometry. The functional is r²SCAN.

Calculated values
The calculation puts the calculated formation energy at -1682 meV/atom.

Lattice parameters (Å, degrees): 7.762 10.270 13.575 90.00 90.00 90.00
Element x y z (fractional)
1 Cs 0.250 0.135 0.901
2 Cs 0.250 0.635 0.599
3 Cs 0.750 0.865 0.099
4 Cs 0.750 0.365 0.401
5 Cs 0.250 0.976 0.330
6 Cs 0.250 0.476 0.170
7 Cs 0.750 0.024 0.670
8 Cs 0.750 0.524 0.830
9 Zn 0.250 0.236 0.578
10 Zn 0.250 0.736 0.922
11 Zn 0.750 0.764 0.422
12 Zn 0.750 0.264 0.078
13 Br 0.250 0.003 0.600
14 Br 0.250 0.503 0.900
15 Br 0.750 0.997 0.400
16 Br 0.750 0.497 0.100
17 Br 0.250 0.311 0.409
18 Br 0.250 0.811 0.091
19 Br 0.750 0.689 0.591
20 Br 0.750 0.189 0.909
21 Br 0.503 0.328 0.653
22 Br 0.997 0.828 0.847
23 Br 0.003 0.672 0.347
24 Br 0.497 0.172 0.153
25 Br 0.497 0.672 0.347
26 Br 0.003 0.172 0.153
27 Br 0.997 0.328 0.653
28 Br 0.503 0.828 0.847

7.
This record from Materials Project describes crystalline CuBr at its relaxed geometry. The functional is r²SCAN.

Calculated values
The calculation puts the calculated formation energy at -288 meV/atom.

Lattice parameters (Å, degrees): 4.104 4.104 6.063 90.00 90.00 120.00
Element x y z (fractional)
1 Cu 0.000 0.000 0.500
2 Cu 0.000 0.000 0.000
3 Br 0.667 0.333 0.500
4 Br 0.333 0.667 0.000

8.
This record from Materials Project describes crystalline CuBr at its relaxed geometry. The functional is r²SCAN.

Calculated values
The calculation puts the calculated formation energy at -330 meV/atom.

Lattice parameters (Å, degrees): 3.983 3.983 3.983 119.12 91.53 119.12
Element x y z (fractional)
1 Cu 0.750 0.500 0.250
2 Br 0.000 0.000 0.000

Among the records above, which one has the lowest calculated formation energy? Cs3Y2Br9